1.
A relaxed structure of Na2ZrSi6O15, computed with PBE.

Output
The calculation puts the total magnetization at 0.0 μB/f.u. Its MP2020-corrected energy is -8.127 eV per atom.

abc: 10.260 10.260 14.568
angles: 90.00 90.00 91.68
Element x y z (fractional)
O: 0.131 0.869 0.363
O: 0.336 0.318 0.392
O: 0.531 0.137 0.106
O: 0.190 0.551 0.552
O: 0.126 0.157 0.636
O: 0.469 0.863 0.894
O: 0.551 0.190 0.448
O: 0.818 0.836 0.892
O: 0.031 0.637 0.394
O: 0.139 0.421 0.086
O: 0.626 0.657 0.864
O: 0.579 0.861 0.086
O: 0.690 0.051 0.948
O: 0.769 0.491 0.272
O: 0.567 0.433 0.382
O: 0.631 0.369 0.137
O: 0.933 0.067 0.882
O: 0.343 0.374 0.864
O: 0.137 0.531 0.894
O: 0.869 0.131 0.637
O: 0.157 0.126 0.364
O: 0.664 0.682 0.608
O: 0.682 0.664 0.392
O: 0.843 0.874 0.636
O: 0.449 0.810 0.552
O: 0.433 0.567 0.618
O: 0.310 0.949 0.052
O: 0.009 0.731 0.228
O: 0.991 0.269 0.772
O: 0.810 0.449 0.448
O: 0.836 0.818 0.108
O: 0.051 0.690 0.052
O: 0.829 0.671 0.750
O: 0.863 0.469 0.106
O: 0.637 0.031 0.606
O: 0.318 0.336 0.608
O: 0.921 0.639 0.586
O: 0.182 0.164 0.108
O: 0.361 0.079 0.586
O: 0.639 0.921 0.414
O: 0.874 0.843 0.364
O: 0.231 0.509 0.728
O: 0.657 0.626 0.136
O: 0.861 0.579 0.914
O: 0.171 0.329 0.250
O: 0.329 0.171 0.750
O: 0.363 0.969 0.394
O: 0.164 0.182 0.892
O: 0.421 0.139 0.914
O: 0.671 0.829 0.250
O: 0.269 0.991 0.228
O: 0.067 0.933 0.118
O: 0.509 0.231 0.272
O: 0.949 0.310 0.948
O: 0.374 0.343 0.136
O: 0.491 0.769 0.728
O: 0.969 0.363 0.606
O: 0.079 0.361 0.414
O: 0.369 0.631 0.863
O: 0.731 0.009 0.772
Si: 0.492 0.730 0.838
Si: 0.008 0.770 0.338
Si: 0.270 0.508 0.838
Si: 0.814 0.716 0.642
Si: 0.510 0.709 0.623
Si: 0.716 0.814 0.358
Si: 0.209 0.010 0.123
Si: 0.216 0.314 0.142
Si: 0.490 0.291 0.377
Si: 0.230 0.992 0.338
Si: 0.010 0.209 0.877
Si: 0.990 0.791 0.123
Si: 0.791 0.990 0.877
Si: 0.992 0.230 0.662
Si: 0.508 0.270 0.162
Si: 0.784 0.686 0.858
Si: 0.291 0.490 0.623
Si: 0.186 0.284 0.358
Si: 0.284 0.186 0.642
Si: 0.730 0.492 0.162
Si: 0.770 0.008 0.662
Si: 0.709 0.510 0.377
Si: 0.686 0.784 0.142
Si: 0.314 0.216 0.858
Zr: 0.500 0.000 0.500
Zr: 0.500 0.000 0.000
Zr: 0.000 0.500 0.500
Zr: 0.000 0.500 0.000
Na: 0.252 0.748 0.985
Na: 0.752 0.248 0.515
Na: 0.011 0.489 0.250
Na: 0.989 0.511 0.750
Na: 0.748 0.252 0.015
Na: 0.511 0.989 0.250
Na: 0.248 0.752 0.485
Na: 0.489 0.011 0.750

2.
A relaxed structure of ThMgAu2, computed with PBE.

abc: 5.049 5.049 5.049
angles: 60.00 60.00 60.00
Element x y z (fractional)
Mg: 0.500 0.500 0.500
Au: 0.250 0.250 0.250
Au: 0.750 0.750 0.750
Th: 0.000 0.000 0.000

3.
A relaxed structure of TmGa2Ni3, computed with PBE.

Output
The calculation puts the total magnetization at 0.0 μB/f.u.

abc: 8.883 8.883 3.886
angles: 90.00 90.00 120.00
Element x y z (fractional)
Ga: 0.000 0.683 0.500
Ga: 0.317 0.317 0.500
Ga: 0.683 0.683 0.500
Ga: 0.317 0.000 0.500
Ga: 0.000 0.317 0.500
Ga: 0.683 0.000 0.500
Tm: 0.333 0.667 0.500
Tm: 0.000 0.000 0.000
Tm: 0.667 0.333 0.500
Ni: 0.500 0.000 0.000
Ni: 0.638 0.819 0.000
Ni: 0.181 0.362 0.000
Ni: 0.000 0.500 0.000
Ni: 0.500 0.500 0.000
Ni: 0.362 0.181 0.000
Ni: 0.819 0.638 0.000
Ni: 0.181 0.819 0.000
Ni: 0.819 0.181 0.000

Raw total energy (eV/atom)
-7.698 -4.565 -5.199